[1]
This record from the Materials Project database describes a relaxed Sm2In3Ni crystal. The functional is PBE.

Cell: 3.766 4.773 8.242 Å, 90.00 90.00 90.00°
Space group Pmm2 (No. 25)
Symmetry-distinct sites (fractional):
Sm: 0.000 0.000 0.000 (multiplicity 1)
Sm: 0.000 0.500 0.456 (multiplicity 1)
In: 0.500 0.000 0.615 (multiplicity 1)
In: 0.500 0.500 0.154 (multiplicity 1)
In: 0.500 0.500 0.806 (multiplicity 1)
Ni: 0.500 0.000 0.295 (multiplicity 1)

=====

[2]
This record from the Materials Project database describes a relaxed Sm2InNi2 crystal. The functional is PBE.

Cell: 7.546 7.546 3.738 Å, 90.00 90.00 90.00°
Space group P4/mbm (No. 127)
Symmetry-distinct sites (fractional):
Sm: 0.175 0.325 0.000 (multiplicity 4)
In: 0.000 0.000 0.500 (multiplicity 2)
Ni: 0.119 0.619 0.500 (multiplicity 4)

=====

Number 1: formation energy -2.5 eV per formula unit. Number 2: formation energy -2.3 eV per formula unit.